PrPaO4: relaxed, PBE.

Structure (POSCAR):
```
PrPaO4
1.0
-2.7745 2.7745 5.4629
2.7745 -2.7745 5.4629
2.7745 2.7745 -5.4629
Pr Pa O
2 2 8
Direct
0.3750 0.6250 0.7500 Pr
0.6250 0.3750 0.2500 Pr
0.1250 0.8750 0.2500 Pa
0.8750 0.1250 0.7500 Pa
0.0000 0.2285 0.2285 O
0.0000 0.7715 0.7715 O
0.2285 0.0000 0.7285 O
0.2285 0.5000 0.2285 O
0.5000 0.2285 0.7285 O
0.5000 0.7715 0.2715 O
0.7715 0.0000 0.2715 O
0.7715 0.5000 0.7715 O
```

Values from the calculation:
energy: -111.75 eV per cell
energy relative to the elements: -4089 meV/atom
mass density: 8.61 g/cm³
volume: 168.2 Å³ per cell